(1)
The following is a PBE with a Hubbard U calculation of crystalline Li2P2WO8 at its relaxed geometry, from the Materials Project database.

Summary:
* space group: No. 7
* piezoelectric modulus e_max: 0.67 C/m²
* spin magnetization: 2.0 μB per formula unit
* ΔE_f: -2.534 eV per atom
* relative energy among the computed polymorphs: 0.768 eV/f.u.
* ρ: 4.23 Mg/m³

a b c (Å): 4.8643 5.9786 10.4685
angles (deg): 89.96 90.00 90.00
Atoms (fractional coordinates):
O: 0.0801 0.7410 0.5413
O: 0.5030 0.4477 0.6605
O: 0.4715 0.0514 0.6763
O: 0.4972 0.7299 0.8902
O: 0.9199 0.7410 0.0413
O: 0.9338 0.9474 0.8273
O: 0.0273 0.2579 0.6101
O: 0.4970 0.4477 0.1605
O: 0.9519 0.5358 0.8317
O: 0.4281 0.2403 0.4555
O: 0.0662 0.9474 0.3273
O: 0.9727 0.2579 0.1101
O: 0.5285 0.0514 0.1763
O: 0.0481 0.5358 0.3317
O: 0.5028 0.7299 0.3902
O: 0.5719 0.2403 0.9555
W: 0.2269 0.2433 0.2770
W: 0.7731 0.2433 0.7770
P: 0.3408 0.2456 0.5963
P: 0.6592 0.2456 0.0963
P: 0.8059 0.7426 0.9061
P: 0.1941 0.7426 0.4061
Li: 0.2727 0.7515 0.7194
Li: 0.7391 0.5656 0.5082
Li: 0.7273 0.7515 0.2194
Li: 0.2609 0.5656 0.0082

***

(2)
The following is a PBE with a Hubbard U calculation of crystalline LiPW2O8 at its relaxed geometry, from the Materials Project database.

Summary:
* space group: No. 4
* spin magnetization: 2.0 μB per formula unit
* ΔE_f: -2.357 eV per atom
* relative energy among the computed polymorphs: 0.000 eV/f.u.
* ρ: 5.36 Mg/m³

a b c (Å): 5.4050 6.8027 17.9820
angles (deg): 89.39 90.00 90.00
Atoms (fractional coordinates):
O: 0.2268 0.3385 0.4556
O: 0.9549 0.3229 0.3154
O: 0.9568 0.4755 0.0097
O: 0.5295 0.8485 0.8890
O: 0.9795 0.6934 0.6770
O: 0.7816 0.3516 0.7282
O: 0.5137 0.2034 0.0879
O: 0.4795 0.3066 0.3230
O: 0.4739 0.0045 0.5042
O: 0.4568 0.5245 0.9903
O: 0.2344 0.5030 0.1468
O: 0.0295 0.1515 0.1110
O: 0.2355 0.1626 0.9573
O: 0.9077 0.1496 0.8385
O: 0.4673 0.3206 0.6073
O: 0.2816 0.6484 0.2718
O: 0.2368 0.9964 0.6468
O: 0.4549 0.6771 0.6846
O: 0.7355 0.8374 0.0427
O: 0.4077 0.8504 0.1615
O: 0.7268 0.6615 0.5444
O: 0.6903 0.1354 0.2252
O: 0.9834 0.3235 0.5924
O: 0.7344 0.4970 0.8532
O: 0.7368 0.0036 0.3532
O: 0.4517 0.2151 0.8106
O: 0.9517 0.7849 0.1894
O: 0.1903 0.8646 0.7748
O: 0.9673 0.6794 0.3927
O: 0.0137 0.7966 0.9121
O: 0.9739 0.9955 0.4958
O: 0.4834 0.6765 0.4076
P: 0.7216 0.1962 0.3075
P: 0.2216 0.8038 0.6925
P: 0.7214 0.3011 0.8101
P: 0.2214 0.6989 0.1899
Li: 0.2932 0.2419 0.2028
Li: 0.7932 0.7581 0.7972
Li: 0.7820 0.7521 0.2945
Li: 0.2820 0.2479 0.7055
W: 0.7364 0.9955 0.1248
W: 0.2364 0.0045 0.8752
W: 0.2291 0.3400 0.0466
W: 0.7312 0.8396 0.4535
W: 0.7263 0.5030 0.6274
W: 0.2263 0.4970 0.3726
W: 0.2312 0.1604 0.5465
W: 0.7291 0.6600 0.9534

***

Q: Number 1 is which compound?
A: Li2P2WO8

***

Please write out number 2 again, unchanged.
The following is a PBE with a Hubbard U calculation of crystalline LiPW2O8 at its relaxed geometry, from the Materials Project database.

Summary:
* space group: No. 4
* spin magnetization: 2.0 μB per formula unit
* ΔE_f: -2.357 eV per atom
* relative energy among the computed polymorphs: 0.000 eV/f.u.
* ρ: 5.36 Mg/m³

a b c (Å): 5.4050 6.8027 17.9820
angles (deg): 89.39 90.00 90.00
Atoms (fractional coordinates):
O: 0.2268 0.3385 0.4556
O: 0.9549 0.3229 0.3154
O: 0.9568 0.4755 0.0097
O: 0.5295 0.8485 0.8890
O: 0.9795 0.6934 0.6770
O: 0.7816 0.3516 0.7282
O: 0.5137 0.2034 0.0879
O: 0.4795 0.3066 0.3230
O: 0.4739 0.0045 0.5042
O: 0.4568 0.5245 0.9903
O: 0.2344 0.5030 0.1468
O: 0.0295 0.1515 0.1110
O: 0.2355 0.1626 0.9573
O: 0.9077 0.1496 0.8385
O: 0.4673 0.3206 0.6073
O: 0.2816 0.6484 0.2718
O: 0.2368 0.9964 0.6468
O: 0.4549 0.6771 0.6846
O: 0.7355 0.8374 0.0427
O: 0.4077 0.8504 0.1615
O: 0.7268 0.6615 0.5444
O: 0.6903 0.1354 0.2252
O: 0.9834 0.3235 0.5924
O: 0.7344 0.4970 0.8532
O: 0.7368 0.0036 0.3532
O: 0.4517 0.2151 0.8106
O: 0.9517 0.7849 0.1894
O: 0.1903 0.8646 0.7748
O: 0.9673 0.6794 0.3927
O: 0.0137 0.7966 0.9121
O: 0.9739 0.9955 0.4958
O: 0.4834 0.6765 0.4076
P: 0.7216 0.1962 0.3075
P: 0.2216 0.8038 0.6925
P: 0.7214 0.3011 0.8101
P: 0.2214 0.6989 0.1899
Li: 0.2932 0.2419 0.2028
Li: 0.7932 0.7581 0.7972
Li: 0.7820 0.7521 0.2945
Li: 0.2820 0.2479 0.7055
W: 0.7364 0.9955 0.1248
W: 0.2364 0.0045 0.8752
W: 0.2291 0.3400 0.0466
W: 0.7312 0.8396 0.4535
W: 0.7263 0.5030 0.6274
W: 0.2263 0.4970 0.3726
W: 0.2312 0.1604 0.5465
W: 0.7291 0.6600 0.9534